A geometry-optimized Tm2S3 structure. Source: the Materials Project, functional GGA-PBE.

Calculated values
Raw total energy: -6.331 eV per atom
Formation enthalpy at 0 K: -2.361 eV per atom

a b c (Å): 10.079 3.976 17.472
angles (deg): 90.00 98.66 90.00
Positions (direct):
Tm (0.013, 0.250, 0.101)
Tm (0.049, 0.750, 0.615)
Tm (0.311, 0.250, 0.479)
Tm (0.313, 0.250, 0.779)
Tm (0.329, 0.750, 0.281)
Tm (0.376, 0.250, 0.070)
Tm (0.624, 0.750, 0.930)
Tm (0.671, 0.250, 0.719)
Tm (0.687, 0.750, 0.221)
Tm (0.689, 0.750, 0.521)
Tm (0.951, 0.250, 0.385)
Tm (0.987, 0.750, 0.899)
S (0.115, 0.750, 0.467)
S (0.133, 0.250, 0.969)
S (0.138, 0.750, 0.782)
S (0.180, 0.250, 0.318)
S (0.210, 0.750, 0.131)
S (0.231, 0.250, 0.627)
S (0.448, 0.250, 0.925)
S (0.451, 0.750, 0.424)
S (0.492, 0.250, 0.232)
S (0.508, 0.750, 0.768)
S (0.549, 0.250, 0.576)
S (0.552, 0.750, 0.075)
S (0.769, 0.750, 0.373)
S (0.790, 0.250, 0.869)
S (0.820, 0.750, 0.682)
S (0.862, 0.250, 0.218)
S (0.867, 0.750, 0.031)
S (0.885, 0.250, 0.533)